! HBr | the Materials Project database | PBE | optimized geometry; values from VASP
! * formation energy: -210 meV per atom
! * corrected total energy (MP2020 scheme): -2.724 eV/atom
! * size of the total moment: 0.00 μB per cell
! * calculated volume: 64.10 Å³/cell
! * space-group type: Fmmm (69)
&SYSTEM
  ibrav = 0, nat = 2, ntyp = 2
/
ATOMIC_SPECIES
H 1.01 H.upf
Br 79.90 Br.upf
CELL_PARAMETERS angstrom
0.292 2.776 5.511
0.522 4.491 1.145
-2.989 0.053 3.621
ATOMIC_POSITIONS angstrom
H 0.000 0.000 0.000
Br -1.088 3.659 5.138

! HgH16Br6N4 | the Materials Project database | PBE | optimized geometry; values from VASP
! * formation energy: -572 meV per atom
! * corrected total energy (MP2020 scheme): -4.193 eV/atom
! * size of the total moment: 0.00 μB per cell
! * calculated volume: 789.91 Å³/cell
! * space-group type: Pnnm (58)
&SYSTEM
  ibrav = 0, nat = 54, ntyp = 4
/
ATOMIC_SPECIES
H 1.01 H.upf
Br 79.90 Br.upf
N 14.01 N.upf
Hg 200.59 Hg.upf
CELL_PARAMETERS angstrom
9.124 0.000 0.000
0.000 9.130 0.000
0.000 0.000 9.483
ATOMIC_POSITIONS angstrom
H 6.290 2.541 0.853
H 7.410 2.662 2.101
H 6.276 1.903 6.843
H 2.848 1.903 6.843
H 1.681 0.670 6.616
H 1.728 2.024 5.595
H 6.290 6.589 8.629
H 2.956 0.887 5.510
H 1.606 5.452 8.713
H 7.443 0.670 6.616
H 1.714 2.662 2.101
H 6.243 3.895 1.875
H 1.606 3.678 0.769
H 2.881 5.235 7.608
H 2.848 7.227 2.640
H 7.443 8.460 2.867
H 7.518 3.678 0.769
H 1.728 7.106 3.888
H 2.881 3.895 1.875
H 7.410 6.468 7.381
H 6.243 5.235 7.608
H 6.168 0.887 5.510
H 6.168 8.243 3.972
H 7.518 5.452 8.713
H 7.396 2.024 5.595
H 1.681 8.460 2.867
H 7.396 7.106 3.888
H 6.276 7.227 2.640
H 1.714 6.468 7.381
H 2.956 8.243 3.972
H 2.834 2.541 0.853
H 2.834 6.589 8.629
Br 7.140 4.565 4.741
Br 0.000 7.871 6.444
Br 6.545 0.000 0.000
Br 4.562 5.824 1.703
Br 0.000 1.259 3.038
Br 1.983 4.565 4.741
Br 0.000 6.158 1.160
Br 4.562 3.306 7.780
Br 0.000 2.971 8.323
Br 4.562 1.593 3.582
Br 2.578 0.000 0.000
Br 4.562 7.536 5.901
N 2.292 1.360 6.145
N 6.854 3.205 1.404
N 6.832 1.360 6.145
N 6.854 5.925 8.078
N 2.270 3.205 1.404
N 2.292 7.770 3.337
N 2.270 5.925 8.078
N 6.832 7.770 3.337
Hg 0.000 0.000 0.000
Hg 4.562 4.565 4.741

! HgH16Br6N4 | the Materials Project database | PBE | optimized geometry; values from VASP
! * formation energy: -582 meV per atom
! * corrected total energy (MP2020 scheme): -4.202 eV/atom
! * size of the total moment: 0.00 μB per cell
! * calculated volume: 810.51 Å³/cell
! * space-group type: P4/mnc (128)
&SYSTEM
  ibrav = 0, nat = 54, ntyp = 4
/
ATOMIC_SPECIES
H 1.01 H.upf
Br 79.90 Br.upf
Hg 200.59 Hg.upf
N 14.01 N.upf
CELL_PARAMETERS angstrom
-0.675 -4.170 -8.441
-1.204 -8.355 4.223
-9.000 1.329 0.063
ATOMIC_POSITIONS angstrom
H -6.677 -2.648 -4.047
H -8.466 -6.773 0.285
H -8.749 -8.254 1.048
H -2.130 -2.941 -5.203
H -7.398 -7.319 1.430
H -4.014 -7.819 1.406
H -4.272 -9.304 -4.078
H -3.039 -9.091 -5.209
H -3.507 -3.880 0.649
H -7.372 -7.315 -4.803
H -7.882 -2.091 -5.162
H -2.997 -9.104 1.008
H -8.029 -3.593 -4.400
H -8.600 -7.499 -3.662
H -6.755 -3.400 0.671
H -4.202 -8.548 -0.107
H -8.790 -8.242 -5.169
H -3.429 -3.127 -4.070
H -7.894 -2.867 -0.453
H -2.985 -8.328 -3.702
H -7.450 -8.068 -0.084
H -7.840 -2.104 1.055
H -7.656 -8.804 -4.054
H -2.850 -7.602 0.245
H -2.413 -4.422 -4.439
H -6.607 -1.892 -0.077
H -4.124 -7.795 -4.826
H -3.481 -3.876 -5.585
H -2.089 -2.954 1.014
H -2.279 -3.697 -0.492
H -3.223 -2.392 -0.100
H -6.865 -3.377 -5.561
Br -7.961 -5.225 -2.060
Br -1.519 -10.187 -2.005
Br -0.982 -6.361 -6.076
Br -2.521 0.372 0.018
Br -0.897 -6.164 1.858
Br -0.361 -2.338 -2.213
Br -5.513 -5.943 -5.297
Br -6.479 0.957 0.045
Br -4.972 -2.412 -2.430
Br -2.918 -5.970 -2.095
Br -5.366 -5.252 1.142
Br -5.907 -8.783 -1.725
Hg -5.439 -5.598 -2.077
Hg 0.000 0.000 0.000
N -8.104 -7.961 -4.432
N -3.604 -8.626 -4.464
N -7.275 -2.569 0.309
N -3.517 -8.278 0.635
N -2.862 -3.582 -4.821
N -8.017 -7.614 0.666
N -2.775 -3.234 0.278
N -7.362 -2.917 -4.789

! HgH16Br6N4 | the Materials Project database | PBE | optimized geometry; values from VASP
! * formation energy: -570 meV per atom
! * corrected total energy (MP2020 scheme): -4.191 eV/atom
! * size of the total moment: 0.00 μB per cell
! * calculated volume: 777.09 Å³/cell
! * space-group type: P2_1/c (14)
&SYSTEM
  ibrav = 0, nat = 54, ntyp = 4
/
ATOMIC_SPECIES
H 1.01 H.upf
Br 79.90 Br.upf
N 14.01 N.upf
Hg 200.59 Hg.upf
CELL_PARAMETERS angstrom
9.309 0.000 0.000
0.000 9.042 0.000
0.000 8.914 9.231
ATOMIC_POSITIONS angstrom
H 2.211 3.132 1.740
H 2.379 12.064 6.912
H 3.448 15.756 7.368
H 5.778 9.302 7.258
H 8.326 5.952 1.346
H 8.384 6.498 2.927
H 2.444 7.589 6.356
H 3.199 8.378 7.660
H 0.926 11.459 6.305
H 2.276 7.607 2.297
H 3.531 8.655 1.973
H 1.123 13.112 6.589
H 7.854 14.036 6.187
H 3.729 7.001 1.689
H 7.099 14.825 7.492
H 8.762 14.590 7.553
H 0.984 12.004 7.885
H 4.107 7.824 6.294
H 5.638 10.410 5.962
H 5.861 2.200 1.863
H 1.206 11.299 2.752
H 6.865 10.368 2.876
H 5.202 10.133 2.937
H 7.034 10.350 6.935
H 1.456 3.921 3.044
H 8.186 4.845 2.643
H 8.103 6.658 6.479
H 6.110 9.578 1.572
H 5.580 10.955 7.542
H 6.930 5.892 2.319
H 3.671 7.547 3.269
H 0.547 3.366 1.679
Br 9.288 8.960 6.652
Br 6.295 16.756 9.222
Br 0.021 8.997 2.579
Br 1.641 5.658 4.625
Br 8.118 2.923 0.027
Br 7.669 12.298 4.607
Br 4.634 13.454 7.195
Br 1.192 15.034 9.204
Br 5.846 7.380 4.643
Br 3.463 10.577 4.588
Br 3.014 1.201 0.009
Br 4.676 4.502 2.036
N 1.351 12.162 6.928
N 6.006 10.321 2.306
N 3.304 7.705 2.313
N 6.005 10.252 6.919
N 7.958 14.778 6.922
N 7.959 5.795 2.303
N 1.352 3.178 2.310
N 3.303 7.635 6.926
Hg 0.000 0.000 0.000
Hg 4.655 4.457 4.616

! H15IrBr3N5 | the Materials Project database | PBE | optimized geometry; values from VASP
! * formation energy: -540 meV per atom
! * corrected total energy (MP2020 scheme): -4.970 eV/atom
! * size of the total moment: 0.14 μB per cell
! * calculated volume: 1176.47 Å³/cell
! * space-group type: Pnma (62)
&SYSTEM
  ibrav = 0, nat = 96, ntyp = 4
/
ATOMIC_SPECIES
H 1.01 H.upf
Br 79.90 Br.upf
N 14.01 N.upf
Ir 192.22 Ir.upf
CELL_PARAMETERS angstrom
14.594 0.000 0.000
0.000 11.247 0.000
0.000 0.000 7.167
ATOMIC_POSITIONS angstrom
H 9.506 5.947 5.287
H 11.907 1.981 4.577
H 3.082 7.603 6.801
H 11.907 3.643 4.577
H 11.511 3.645 0.367
H 10.772 2.812 3.704
H 7.742 3.640 2.816
H 12.385 5.300 1.704
H 6.852 9.264 4.352
H 6.852 7.608 4.352
H 3.082 9.268 6.801
H 6.686 2.812 3.777
H 10.379 9.268 3.950
H 1.723 5.967 3.878
H 6.694 5.283 1.503
H 7.908 8.436 3.390
H 9.983 7.605 0.993
H 2.209 5.947 5.464
H 9.983 9.267 0.993
H 3.239 2.812 2.174
H 5.574 0.343 0.294
H 5.088 5.300 1.880
H 0.603 5.964 5.087
H 12.871 5.281 3.290
H 5.574 5.281 0.294
H 13.991 0.340 2.081
H 9.020 5.967 6.873
H 4.214 1.979 3.217
H 4.214 3.645 3.217
H 10.379 7.603 3.950
H 13.991 5.283 2.081
H 11.511 1.979 0.367
H 0.445 1.984 0.768
H 4.058 8.436 5.758
H 4.610 1.981 6.174
H 5.088 0.324 1.880
H 3.475 2.812 7.047
H 7.900 5.964 5.664
H 0.445 3.640 0.768
H 7.900 10.907 5.664
H 9.506 10.924 5.287
H 6.694 0.340 1.503
H 14.149 9.264 6.399
H 1.723 10.905 3.878
H 12.871 0.343 3.290
H 14.149 7.608 6.399
H 7.742 1.984 2.816
H 9.020 10.905 6.873
H 0.603 10.907 5.087
H 2.686 7.605 2.590
H 12.385 0.324 1.704
H 11.355 8.436 4.993
H 2.209 10.924 5.464
H 0.611 8.436 0.193
H 2.686 9.267 2.590
H 10.536 2.812 1.409
H 4.610 3.643 6.174
H 11.119 8.436 0.120
H 13.983 2.812 6.974
H 3.822 8.436 3.464
Br 12.430 0.077 6.037
Br 5.133 5.546 4.714
Br 2.163 11.170 1.131
Br 9.460 5.701 2.453
Br 2.163 5.701 1.131
Br 7.713 2.812 6.816
Br 12.430 5.546 6.037
Br 14.177 8.436 3.233
Br 5.133 0.077 4.714
Br 0.417 2.812 3.935
Br 9.460 11.170 2.453
Br 6.880 8.436 0.351
N 7.127 2.812 2.850
N 4.461 2.812 6.776
N 13.078 0.720 2.352
N 7.467 8.436 4.317
N 5.781 0.720 1.232
N 11.758 2.812 3.975
N 10.132 8.436 0.391
N 8.812 6.344 5.935
N 3.125 8.436 6.190
N 5.781 4.904 1.232
N 1.516 10.528 4.816
N 8.812 10.528 5.935
N 4.172 2.812 2.606
N 13.078 4.904 2.352
N 10.422 8.436 4.561
N 0.170 8.436 6.434
N 14.424 2.812 0.733
N 11.469 2.812 0.977
N 2.835 8.436 3.193
N 1.516 6.344 4.816
Ir 13.067 2.812 2.341
Ir 8.823 8.436 5.925
Ir 1.526 8.436 4.826
Ir 5.771 2.812 1.242

! K4MgZn4H16Br12O8 | the Materials Project database | PBE | optimized geometry; values from VASP
! * formation energy: -1187 meV per atom
! * corrected total energy (MP2020 scheme): -3.956 eV/atom
! * size of the total moment: 0.00 μB per cell
! * calculated volume: 953.31 Å³/cell
! * space-group type: P1 (1)
&SYSTEM
  ibrav = 0, nat = 45, ntyp = 6
/
ATOMIC_SPECIES
H 1.01 H.upf
Br 79.90 Br.upf
O 16.00 O.upf
K 39.10 K.upf
Mg 24.30 Mg.upf
Zn 65.41 Zn.upf
CELL_PARAMETERS angstrom
5.161 0.062 -4.561
0.004 12.908 -0.166
0.303 -0.176 14.043
ATOMIC_POSITIONS angstrom
H 4.832 4.535 -1.169
H 0.291 10.747 7.976
H 0.991 9.443 1.865
H 0.656 8.080 10.516
H 1.879 11.064 2.938
H 5.387 4.329 8.580
H 3.835 3.072 0.336
H 2.141 8.266 10.086
H 4.387 1.133 6.671
H 4.547 3.349 7.631
H 0.167 8.519 0.816
H 5.052 2.091 5.664
H 3.318 4.812 -1.015
H 1.097 9.760 8.955
H 4.892 2.294 1.234
H 0.412 10.983 3.418
Br 1.281 0.959 2.955
Br 1.636 1.053 8.763
Br 1.538 4.929 10.062
Br 1.445 5.269 1.149
Br 2.008 5.522 6.064
Br 3.924 11.610 1.002
Br 4.019 11.282 10.257
Br 3.795 7.775 -0.925
Br 3.863 11.567 6.237
Br 3.815 7.884 3.095
Br 1.448 1.129 -1.035
Br 4.086 7.684 8.493
O 1.174 10.360 8.147
O 1.185 10.419 3.198
O 3.966 4.082 -1.099
O 4.311 2.058 6.322
O 1.325 8.765 10.319
O 3.885 2.505 1.163
O 1.059 8.876 1.030
O 4.484 3.991 8.390
K 1.432 10.613 -1.372
K 3.792 2.239 -3.235
K 4.179 4.603 3.196
K 1.429 8.824 5.541
Mg 2.060 2.082 5.744
Zn 2.690 11.788 8.334
Zn 3.024 5.524 8.265
Zn 2.532 7.440 1.083
Zn 2.713 0.819 1.021